Model a:
A relaxed structure of LiFeF3. Source: the Materials Project database, functional PBE with a Hubbard U.

Computed properties:
Theoretical density, g cm⁻³: 3.1
Spin magnetization, μB per atom: 0.156

```
data_LiFeF3
_chemical_formula_sum 'Li18 Fe18 F54'
_cell_length_a 6.912
_cell_length_b 7.974
_cell_length_c 21.267
_cell_angle_alpha 83.01
_cell_angle_beta 82.89
_cell_angle_gamma 89.06
_space_group_name_H-M_alt 'P 1'
_space_group_IT_number 1
loop_
_space_group_symop_operation_xyz
'x,y,z'
loop_
_atom_site_label
_atom_site_type_symbol
_atom_site_fract_x
_atom_site_fract_y
_atom_site_fract_z
Li1 Li 0.014 0.368 0.421
Li2 Li 0.035 0.931 0.796
Li3 Li 0.119 0.218 0.016
Li4 Li 0.162 0.898 0.652
Li5 Li 0.195 0.525 0.232
Li6 Li 0.243 0.814 0.444
Li7 Li 0.246 0.202 0.864
Li8 Li 0.325 0.497 0.089
Li9 Li 0.391 0.796 0.296
Li10 Li 0.609 0.204 0.704
Li11 Li 0.675 0.503 0.911
Li12 Li 0.754 0.798 0.136
Li13 Li 0.757 0.186 0.556
Li14 Li 0.805 0.475 0.768
Li15 Li 0.838 0.102 0.348
Li16 Li 0.881 0.782 0.984
Li17 Li 0.965 0.069 0.204
Li18 Li 0.986 0.632 0.579
Fe1 Fe 0.085 0.262 0.663
Fe2 Fe 0.106 0.544 0.900
Fe3 Fe 0.265 0.867 0.133
Fe4 Fe 0.268 0.195 0.507
Fe5 Fe 0.309 0.549 0.738
Fe6 Fe 0.349 0.182 0.346
Fe7 Fe 0.396 0.852 0.966
Fe8 Fe 0.443 0.510 0.582
Fe9 Fe 0.492 0.173 0.189
Fe10 Fe 0.508 0.827 0.811
Fe11 Fe 0.557 0.490 0.418
Fe12 Fe 0.604 0.148 0.034
Fe13 Fe 0.651 0.818 0.654
Fe14 Fe 0.691 0.451 0.262
Fe15 Fe 0.732 0.805 0.493
Fe16 Fe 0.735 0.133 0.867
Fe17 Fe 0.894 0.456 0.100
Fe18 Fe 0.915 0.738 0.337
F1 F 0.022 0.112 0.844
F2 F 0.022 0.776 0.502
F3 F 0.042 0.472 0.710
F4 F 0.063 0.207 0.363
F5 F 0.074 0.037 0.713
F6 F 0.115 0.511 0.156
F7 F 0.137 0.797 0.940
F8 F 0.145 0.422 0.044
F9 F 0.149 0.302 0.933
F10 F 0.166 0.450 0.578
F11 F 0.192 0.754 0.365
F12 F 0.227 0.112 0.176
F13 F 0.235 0.101 0.597
F14 F 0.235 0.759 0.794
F15 F 0.297 0.381 0.422
F16 F 0.301 0.428 0.823
F17 F 0.312 0.738 0.221
F18 F 0.324 0.055 0.028
F19 F 0.351 0.039 0.439
F20 F 0.361 0.714 0.648
F21 F 0.380 0.728 0.061
F22 F 0.394 0.358 0.260
F23 F 0.404 0.363 0.673
F24 F 0.442 0.026 0.873
F25 F 0.460 0.670 0.484
F26 F 0.468 0.025 0.285
F27 F 0.473 0.667 0.900
F28 F 0.527 0.333 0.100
F29 F 0.532 0.975 0.715
F30 F 0.540 0.330 0.516
F31 F 0.558 0.974 0.127
F32 F 0.596 0.637 0.327
F33 F 0.606 0.642 0.740
F34 F 0.620 0.272 0.939
F35 F 0.639 0.286 0.352
F36 F 0.649 0.961 0.561
F37 F 0.676 0.945 0.972
F38 F 0.688 0.262 0.779
F39 F 0.699 0.572 0.177
F40 F 0.703 0.619 0.578
F41 F 0.765 0.241 0.206
F42 F 0.765 0.899 0.403
F43 F 0.773 0.888 0.824
F44 F 0.808 0.246 0.635
F45 F 0.834 0.550 0.422
F46 F 0.851 0.698 0.067
F47 F 0.855 0.578 0.956
F48 F 0.863 0.203 0.060
F49 F 0.885 0.489 0.844
F50 F 0.926 0.963 0.287
F51 F 0.937 0.793 0.637
F52 F 0.958 0.528 0.290
F53 F 0.978 0.224 0.498
F54 F 0.978 0.888 0.156
```


Model b:
A relaxed structure of LiFeF3. Source: the Materials Project database, functional PBE with a Hubbard U.

Computed properties:
Theoretical density, g cm⁻³: 3.3
Spin magnetization, μB per atom: 0.000

```
data_LiFeF3
_chemical_formula_sum 'Li2 Fe2 F6'
_cell_length_a 3.235
_cell_length_b 6.304
_cell_length_c 6.304
_cell_angle_alpha 109.60
_cell_angle_beta 90.00
_cell_angle_gamma 90.00
_space_group_name_H-M_alt 'P 1'
_space_group_IT_number 1
loop_
_space_group_symop_operation_xyz
'x,y,z'
loop_
_atom_site_label
_atom_site_type_symbol
_atom_site_fract_x
_atom_site_fract_y
_atom_site_fract_z
Li1 Li 0.000 0.000 0.000
Li2 Li 0.000 0.496 0.496
Fe1 Fe 0.500 0.502 0.999
Fe2 Fe 0.500 0.999 0.502
F1 F 0.000 0.060 0.320
F2 F 0.000 0.320 0.060
F3 F 0.000 0.688 0.943
F4 F 0.000 0.943 0.688
F5 F 0.500 0.363 0.639
F6 F 0.500 0.639 0.363
```


Model c:
A relaxed structure of LiFeF3. Source: the Materials Project database, functional PBE with a Hubbard U.

Computed properties:
Theoretical density, g cm⁻³: 3.2
Spin magnetization, μB per atom: 0.800

```
data_LiFeF3
_chemical_formula_sum 'Li2 Fe2 F6'
_cell_length_a 5.590
_cell_length_b 5.590
_cell_length_c 5.590
_cell_angle_alpha 119.28
_cell_angle_beta 119.28
_cell_angle_gamma 91.25
_space_group_name_H-M_alt 'P 1'
_space_group_IT_number 1
loop_
_space_group_symop_operation_xyz
'x,y,z'
loop_
_atom_site_label
_atom_site_type_symbol
_atom_site_fract_x
_atom_site_fract_y
_atom_site_fract_z
Li1 Li 0.250 0.750 0.500
Li2 Li 0.750 0.250 0.500
Fe1 Fe 0.000 0.000 0.000
Fe2 Fe 0.500 0.500 0.000
F1 F 0.161 0.661 0.822
F2 F 0.250 0.250 0.000
F3 F 0.339 0.161 0.500
F4 F 0.661 0.839 0.500
F5 F 0.750 0.750 0.000
F6 F 0.839 0.339 0.178
```


Stability summary - winner: model c; margin: 13 meV/atom.